K2PtI6 | GGA-PBE | optimized geometry

Cell lengths 7.7589, 7.7589, 12.0430 Å; angles 90.00, 90.00, 90.00 degrees
Closest atoms and distances in Å follow each position.
Space group P4/mnc (No. 128)
Asymmetric unit:
K: 0.0000 0.5000 0.2500 (multiplicity 4)  8 I 3.74-3.89
Pt: 0.0000 0.0000 0.0000 (multiplicity 2)  6 I 2.71-2.72
I: 0.0000 0.0000 0.2251 (multiplicity 4)  1 Pt 2.71
I: 0.1942 0.2916 0.0000 (multiplicity 8)  1 Pt 2.72

## Properties
DFT formation energy, meV/atom: -1010


K2RbYI6 | GGA-PBE | optimized geometry

Cell lengths 12.9734, 12.9734, 12.9734 Å; angles 90.00, 90.00, 90.00 degrees
Closest atoms and distances in Å follow each position.
Space group Fm-3m (No. 225)
Asymmetric unit:
K: 0.2500 0.2500 0.2500 (multiplicity 8)  12 I 4.59
Rb: 0.0000 0.0000 0.0000 (multiplicity 4)  6 I 3.46
Y: 0.0000 0.0000 0.5000 (multiplicity 4)  6 I 3.02
I: 0.0000 0.0000 0.2670 (multiplicity 24)  1 Y 3.02

## Properties
Total magnetic moment, μB per cell: 0.01
DFT formation energy, meV/atom: -1597


K3ScI6 | GGA-PBE | optimized geometry

Cell lengths 12.4585, 12.4585, 12.4585 Å; angles 90.00, 90.00, 90.00 degrees
Closest atoms and distances in Å follow each position.
Space group Fm-3m (No. 225)
Asymmetric unit:
K: 0.0000 0.0000 0.0000 (multiplicity 4)  6 I 3.34
K: 0.2500 0.2500 0.2500 (multiplicity 8)  12 I 4.41
Sc: 0.0000 0.0000 0.5000 (multiplicity 4)  6 I 2.89
I: 0.0000 0.0000 0.2684 (multiplicity 24)  1 Sc 2.89

## Properties
Total magnetic moment, μB per cell: 0.01
DFT formation energy, meV/atom: -1542


KSm2I5 | GGA-PBE | optimized geometry

Cell lengths 9.6931, 8.6885, 14.2031 Å; angles 90.00, 90.44, 90.00 degrees
Closest atoms and distances in Å follow each position.
Space group P2_1/c (No. 14)
Asymmetric unit:
K: 0.0040 0.0425 0.1747 (multiplicity 4)  8 I 3.54-3.87
Sm: 0.2672 0.0872 0.5026 (multiplicity 4)  7 I 3.17-3.36
Sm: 0.4915 0.0554 0.1728 (multiplicity 4)  8 I 3.21-3.54
I: 0.0337 0.6635 0.0850 (multiplicity 4)  2 Sm 3.23-3.36, 2 K 3.54-3.59
I: 0.2687 0.1821 0.7185 (multiplicity 4)  3 Sm 3.17-3.46
I: 0.2832 0.0379 0.9936 (multiplicity 4)  3 Sm 3.24-3.33
I: 0.2876 0.6529 0.8217 (multiplicity 4)  3 Sm 3.32-3.42
I: 0.4551 0.6655 0.1057 (multiplicity 4)  4 Sm 3.18-3.54

## Properties
Total magnetic moment, μB per cell: 7.99
DFT formation energy, meV/atom: -1413


KSn2I5 | GGA-PBE | optimized geometry

Cell lengths 9.0104, 9.0104, 16.0514 Å; angles 90.00, 90.00, 90.00 degrees
Closest atoms and distances in Å follow each position.
Space group I4/mcm (No. 140)
Asymmetric unit:
K: 0.0000 0.0000 0.2500 (multiplicity 4)  10 I 3.86-4.01
Sn: 0.1778 0.3222 0.0000 (multiplicity 8)  4 I 3.01-3.32
I: 0.0000 0.0000 0.0000 (multiplicity 4)  4 Sn 3.32
I: 0.1587 0.3413 0.3646 (multiplicity 16)  1 Sn 3.01

## Properties
Total magnetic moment, μB per cell: 0.02
DFT formation energy, meV/atom: -965


K3TaI6 | GGA-PBE | optimized geometry

Cell lengths 12.3193, 12.3193, 12.3193 Å; angles 90.00, 90.00, 90.00 degrees
Closest atoms and distances in Å follow each position.
Space group Fm-3m (No. 225)
Asymmetric unit:
K: 0.0000 0.0000 0.0000 (multiplicity 4)  6 I 3.33
K: 0.2500 0.2500 0.2500 (multiplicity 8)  12 I 4.36
Ta: 0.0000 0.0000 0.5000 (multiplicity 4)  6 I 2.83
I: 0.0000 0.0000 0.2702 (multiplicity 24)  1 Ta 2.83

## Properties
Total magnetic moment, μB per cell: 7.99
DFT formation energy, meV/atom: -1110


K2TcI6 | GGA-PBE | optimized geometry

Cell lengths 8.0074, 8.0679, 14.0806 Å; angles 90.00, 124.17, 90.00 degrees
Closest atoms and distances in Å follow each position.
Space group P2_1/c (No. 14)
Asymmetric unit:
K: 0.2343 0.0431 0.2490 (multiplicity 4)  8 I 3.65-4.03
Tc: 0.5000 0.0000 0.0000 (multiplicity 2)  6 I 2.76
I: 0.1956 0.1982 0.9739 (multiplicity 4)  1 Tc 2.76
I: 0.2839 0.7207 0.9805 (multiplicity 4)  1 Tc 2.76
I: 0.3154 0.5012 0.2657 (multiplicity 4)  1 Tc 2.76

## Properties
DFT formation energy, meV/atom: -976


KTlI3 | GGA-PBE | optimized geometry

Cell lengths 12.5481, 12.5481, 12.5481 Å; angles 90.00, 90.00, 90.00 degrees
Closest atoms and distances in Å follow each position.
Space group Fm-3m (No. 225)
Asymmetric unit:
K: 0.2500 0.2500 0.2500 (multiplicity 8)  12 I 4.44
Tl: 0.0000 0.0000 0.0000 (multiplicity 4)  6 I 3.05
Tl: 0.0000 0.0000 0.5000 (multiplicity 4)  6 I 3.22
I: 0.0000 0.0000 0.2431 (multiplicity 24)  2 Tl 3.05-3.22

## Properties
Total magnetic moment, μB per cell: 0.08
DFT formation energy, meV/atom: -979


K3TlI6 | GGA-PBE | optimized geometry

Cell lengths 12.7147, 12.7147, 12.7147 Å; angles 90.00, 90.00, 90.00 degrees
Closest atoms and distances in Å follow each position.
Space group Fm-3m (No. 225)
Asymmetric unit:
K: 0.0000 0.0000 0.0000 (multiplicity 4)  6 I 3.35
K: 0.2500 0.2500 0.2500 (multiplicity 8)  12 I 4.50
Tl: 0.0000 0.0000 0.5000 (multiplicity 4)  6 I 3.01
I: 0.0000 0.0000 0.2635 (multiplicity 24)  1 Tl 3.01, 1 K 3.35

## Properties
Total magnetic moment, μB per cell: 0.01
DFT formation energy, meV/atom: -1107


K2UI5 | GGA-PBE | optimized geometry

Cell lengths 14.7245, 9.8730, 9.3086 Å; angles 90.00, 90.00, 90.00 degrees
Closest atoms and distances in Å follow each position.
Space group Pnma (No. 62)
Asymmetric unit:
K: 0.1716 0.0052 0.0634 (multiplicity 8)  8 I 3.63-3.99
U: 0.0036 0.2500 0.5745 (multiplicity 4)  7 I 3.18-3.29
I: 0.0057 0.2500 0.9274 (multiplicity 4)  1 U 3.29, 4 K 3.63-3.66
I: 0.0740 0.5442 0.6670 (multiplicity 8)  2 U 3.20-3.24
I: 0.1823 0.2500 0.3796 (multiplicity 4)  1 U 3.20
I: 0.2055 0.7500 0.3412 (multiplicity 4)  1 U 3.18

## Properties
Total magnetic moment, μB per cell: 3.09
DFT formation energy, meV/atom: -1324


K3YI6 | GGA-PBE | optimized geometry

Cell lengths 12.7268, 12.7268, 12.7268 Å; angles 90.00, 90.00, 90.00 degrees
Closest atoms and distances in Å follow each position.
Space group Fm-3m (No. 225)
Asymmetric unit:
K: 0.0000 0.0000 0.0000 (multiplicity 4)  6 I 3.35
K: 0.2500 0.2500 0.2500 (multiplicity 8)  12 I 4.50
Y: 0.0000 0.0000 0.5000 (multiplicity 4)  6 I 3.02
I: 0.0000 0.0000 0.2629 (multiplicity 24)  1 Y 3.02, 1 K 3.35

## Properties
Total magnetic moment, μB per cell: 0.00
DFT formation energy, meV/atom: -1609


KZr6I14 | GGA-PBE | optimized geometry

Cell lengths 16.7665, 14.6988, 13.4569 Å; angles 90.00, 90.00, 90.00 degrees
Closest atoms and distances in Å follow each position.
Space group Cmce (No. 64)
Asymmetric unit:
K: 0.0000 0.0000 0.0000 (multiplicity 4)  6 Zr 2.82-2.88
Zr: 0.0000 0.1590 0.1175 (multiplicity 8)  1 K 2.82, 5 I 2.93-3.13
Zr: 0.1235 0.0724 0.8746 (multiplicity 16)  1 K 2.88, 5 I 2.91-3.05
I: 0.0000 0.1583 0.7370 (multiplicity 8)  3 Zr 3.05-3.13
I: 0.1240 0.0890 0.2509 (multiplicity 16)  2 Zr 2.91-2.93
I: 0.1237 0.2410 0.9915 (multiplicity 16)  2 Zr 2.94
I: 0.2500 0.0000 0.0000 (multiplicity 8)  2 Zr 2.91
I: 0.2500 0.1534 0.7500 (multiplicity 8)  2 Zr 2.95

## Properties
Total magnetic moment, μB per cell: 4.00
DFT formation energy, meV/atom: -744


no.,raw total energy (eV/atom)
1,-2.695
2,-3.251
3,-3.196
4,-3.447
5,-2.821
6,-3.316
7,-3.137
8,-2.361
9,-2.363
10,-3.728
11,-3.276
12,-4.002